Record 1
Entry from the Materials Project database: an optimized crystal structure of CdRe2H16C4S4N8O8 (PBE-GGA).

```
CdRe2H16C4S4N8O8
1.0
-5.8711 -12.0796 3.1279
2.2485 0.6361 6.6773
-8.3973 5.6004 5.8663
Re H S N O C Cd
4 32 8 16 16 8 2
Direct
0.5223 0.5805 0.8115
0.0223 0.4195 0.6885
0.9777 0.5805 0.3115
0.4777 0.4195 0.1885
0.3210 0.2407 0.3832
0.1952 0.2519 0.3553
0.0887 0.0919 0.5014
0.7690 0.1851 0.6719
0.6952 0.7481 0.1447
0.7310 0.1851 0.1719
0.6874 0.3610 0.0431
0.1304 0.9534 0.6425
0.6790 0.7593 0.6168
0.3696 0.9534 0.1425
0.1874 0.6390 0.4569
0.7060 0.5443 0.4035
0.4113 0.0919 0.0014
0.8048 0.7481 0.6447
0.2940 0.4557 0.5965
0.0804 0.4893 0.0762
0.2690 0.8149 0.8281
0.9113 0.9081 0.4986
0.8210 0.7593 0.1168
0.9196 0.5107 0.9238
0.3048 0.2519 0.8553
0.8696 0.0466 0.3575
0.3126 0.6390 0.9569
0.2060 0.4557 0.0965
0.2310 0.8149 0.3281
0.6304 0.0466 0.8575
0.5887 0.9081 0.9986
0.1790 0.2407 0.8832
0.7940 0.5443 0.9035
0.4196 0.4893 0.5762
0.5804 0.5107 0.4238
0.8126 0.3610 0.5431
0.0684 0.7914 0.8598
0.1704 0.9971 0.1219
0.6704 0.0029 0.3781
0.3296 0.9971 0.6219
0.4316 0.7914 0.3598
0.5684 0.2086 0.6402
0.8296 0.0029 0.8781
0.9316 0.2086 0.1402
0.2445 0.7097 0.4069
0.2555 0.7097 0.9069
0.6492 0.4725 0.4530
0.1450 0.0380 0.5576
0.3508 0.5275 0.5470
0.8508 0.4725 0.9530
0.2478 0.1998 0.9111
0.1492 0.5275 0.0470
0.7522 0.8002 0.0889
0.8550 0.9620 0.4424
0.6450 0.9620 0.9424
0.7478 0.8002 0.5889
0.7445 0.2903 0.0931
0.7555 0.2903 0.5931
0.2522 0.1998 0.4111
0.3550 0.0380 0.0576
0.9719 0.2515 0.6214
0.4719 0.7485 0.8786
0.0281 0.7485 0.3786
0.9439 0.6228 0.6624
0.0561 0.3772 0.3376
0.4439 0.3772 0.8376
0.4643 0.3038 0.3440
0.3623 0.4890 0.1276
0.1377 0.4890 0.6276
0.5357 0.6962 0.6560
0.0357 0.3038 0.8440
0.5281 0.2515 0.1214
0.8623 0.5110 0.3724
0.9643 0.6962 0.1560
0.5561 0.6228 0.1624
0.6377 0.5110 0.8724
0.7633 0.9158 0.4774
0.1646 0.6683 0.9448
0.7367 0.9158 0.9774
0.8354 0.3317 0.0552
0.2633 0.0842 0.0226
0.3354 0.6683 0.4448
0.2367 0.0842 0.5226
0.6646 0.3317 0.5552
0.0000 0.0000 0.0000
0.5000 0.0000 0.5000
```

Properties
SG: P2_1/c, No. 14
E (eV/f.u.): -265.2

=====

Record 2
Entry from the Materials Project database: an optimized crystal structure of MgPb2 (PBE-GGA).

```
MgPb2
1.0
1.7578 -3.0447 0.0000
1.7578 3.0447 0.0000
0.0000 0.0000 16.0338
Mg Pb
2 4
Direct
0.0000 0.0000 0.3407
0.0000 0.0000 0.6593
0.0000 0.0000 0.0000
0.3333 0.6667 0.8148
0.3333 0.6667 0.1852
0.3333 0.6667 0.5000
```

Properties
SG: P-6m2, No. 187
Energy relative to the lowest polymorph listed for this composition (kJ/mol of formula units): 4.8

=====

Record 3
Entry from the Materials Project database: an optimized crystal structure of SmB2C2 (PBE-GGA).

```
SmB2C2
1.0
-4.9785 1.0339 1.7602
-1.8660 -4.1863 -2.8188
0.5733 -2.2289 2.9307
C B Sm
4 4 2
Direct
0.3391 0.8391 0.5000
0.6609 0.1609 0.5000
0.8391 0.6609 0.5000
0.1609 0.3391 0.5000
0.1376 0.6376 0.5000
0.3624 0.1376 0.5000
0.8624 0.3624 0.5000
0.6376 0.8624 0.5000
0.0000 0.0000 0.0000
0.5000 0.5000 0.0000
```

Properties
SG: P4/mbm, No. 127
E (eV/f.u.): -38.7

=====

Record 4
Entry from the Materials Project database: an optimized crystal structure of CuH9CSN4Cl3O (PBE-GGA).

```
CuH9CSN4Cl3O
1.0
-6.9636 1.5532 -2.3306
0.5579 -7.1442 -5.3471
-2.0685 -2.3942 9.1341
H N C Cl Cu S O
18 8 2 6 2 2 2
Direct
0.6260 0.7548 0.4685
0.4343 0.9178 0.2531
0.1429 0.9071 0.6161
0.6993 0.4028 0.1211
0.7734 0.4051 0.3354
0.7175 0.5299 0.6797
0.2007 0.5049 0.6333
0.7507 0.3628 0.9662
0.0610 0.5065 0.2713
0.3007 0.5972 0.8789
0.5657 0.0822 0.7469
0.9390 0.4935 0.7287
0.3740 0.2452 0.5315
0.2266 0.5949 0.6646
0.8571 0.0929 0.3839
0.7993 0.4951 0.3667
0.2493 0.6372 0.0338
0.2825 0.4701 0.3203
0.1830 0.3249 0.8704
0.3343 0.0684 0.8007
0.1065 0.2739 0.1843
0.6657 0.9316 0.1993
0.1536 0.4203 0.2610
0.8464 0.5797 0.7390
0.8170 0.6751 0.1296
0.8935 0.7261 0.8157
0.7422 0.7944 0.1547
0.2578 0.2056 0.8453
0.9751 0.1998 0.4951
0.4865 0.7087 0.5115
0.5135 0.2913 0.4885
0.2612 0.9315 0.2711
0.0249 0.8002 0.5049
0.7388 0.0685 0.7289
0.2246 0.0918 0.1146
0.7754 0.9082 0.8854
0.6530 0.0391 0.0879
0.3470 0.9609 0.9121
0.6716 0.3208 0.0180
0.3284 0.6792 0.9820
```

Properties
SG: P-1, No. 2
Energy relative to the lowest polymorph listed for this composition (kJ/mol of formula units): 0.0

=====

Record 5
Entry from the Materials Project database: an optimized crystal structure of PrB2Ru2 (PBE-GGA).

```
PrB2Ru2
1.0
5.8388 -2.8671 2.0342
1.1742 -5.8181 0.8784
4.0977 -1.5445 -3.5533
Pr Ru B
2 4 4
Direct
0.0000 0.0000 0.0000
0.2500 0.2500 0.2500
0.6135 0.6135 0.8865
0.6365 0.6365 0.3635
0.3635 0.3635 0.6365
0.8865 0.8865 0.6135
0.3185 0.6815 0.3185
0.5685 0.9315 0.5685
0.9315 0.5685 0.9315
0.6815 0.3185 0.6815
```

Properties
SG: Fddd, No. 70
E (eV/f.u.): -39.2

=====

Record 6
Entry from the Materials Project database: an optimized crystal structure of BaCuH12C4O14 (PBE-GGA).

```
BaCuH12C4O14
1.0
-4.8465 -7.6730 3.6981
2.0514 -1.8076 9.4109
-12.3404 7.9185 6.7704
H O C Ba Cu
48 56 16 4 4
Direct
0.5741 0.3425 0.5433
0.3754 0.0533 0.6639
0.4259 0.6575 0.4567
0.4608 0.4235 0.8873
0.5276 0.0058 0.1082
0.3782 0.1113 0.0694
0.8863 0.7857 0.7870
0.6575 0.4259 0.9567
0.4207 0.8012 0.0090
0.8887 0.6218 0.4306
0.6344 0.2111 0.7956
0.1768 0.7279 0.4316
0.0533 0.3754 0.1639
0.2143 0.1137 0.7130
0.6734 0.4199 0.1283
0.4199 0.6734 0.6283
0.5801 0.3266 0.3717
0.2131 0.5203 0.0451
0.4797 0.7869 0.4549
0.3016 0.8877 0.2793
0.3266 0.5801 0.8717
0.3425 0.5741 0.0433
0.4724 0.9942 0.8918
0.5765 0.5392 0.6127
0.7857 0.8863 0.2870
0.9942 0.4724 0.3918
0.1988 0.5793 0.4910
0.1123 0.6984 0.2207
0.7869 0.4797 0.9549
0.8877 0.3016 0.7793
0.9467 0.6246 0.8361
0.6984 0.1123 0.7207
0.5793 0.1988 0.9910
0.2721 0.8232 0.0684
0.5203 0.2131 0.5451
0.7279 0.1768 0.9316
0.0058 0.5276 0.6082
0.3656 0.7889 0.2044
0.2111 0.6344 0.2956
0.6218 0.8887 0.9306
0.8232 0.2721 0.5684
0.4235 0.4608 0.3873
0.8012 0.4207 0.5090
0.1137 0.2143 0.2130
0.6246 0.9467 0.3361
0.5392 0.5765 0.1127
0.1113 0.3782 0.5694
0.7889 0.3656 0.7044
0.8309 0.2405 0.1021
0.6932 0.1388 0.1948
0.5047 0.4163 0.3437
0.8612 0.3068 0.3052
0.4823 0.3216 0.5505
0.0668 0.9818 0.1033
0.8814 0.7709 0.5183
0.8150 0.6524 0.6381
0.1850 0.3476 0.3619
0.5338 0.8878 0.9094
0.2766 0.1390 0.6641
0.1122 0.4662 0.5906
0.3216 0.4823 0.0505
0.3632 0.9844 0.4621
0.1298 0.0535 0.2977
0.2022 0.6137 0.2399
0.4465 0.0906 0.3422
0.8878 0.5338 0.4094
0.2405 0.8309 0.6021
0.0156 0.6368 0.0379
0.9094 0.5535 0.1578
0.3863 0.7978 0.2601
0.1390 0.2766 0.1641
0.6524 0.8150 0.1381
0.7595 0.1691 0.3979
0.2291 0.1186 0.9817
0.8702 0.9465 0.7023
0.5177 0.6784 0.4495
0.5535 0.9094 0.6578
0.6253 0.2497 0.9448
0.3747 0.7503 0.0552
0.1691 0.7595 0.8979
0.0535 0.1298 0.7977
0.1186 0.2291 0.4817
0.9332 0.0182 0.8967
0.1388 0.6932 0.6948
0.0182 0.9332 0.3967
0.7503 0.3747 0.5552
0.6784 0.5177 0.9495
0.7978 0.3863 0.7601
0.2497 0.6253 0.4448
0.0906 0.4465 0.8422
0.7234 0.8610 0.3359
0.6137 0.2022 0.7399
0.7709 0.8814 0.0183
0.6368 0.0156 0.5379
0.4662 0.1122 0.0906
0.9818 0.0668 0.6033
0.3068 0.8612 0.8052
0.4953 0.5837 0.6563
0.4163 0.5047 0.8437
0.3476 0.1850 0.8619
0.8610 0.7234 0.8359
0.9465 0.8702 0.2023
0.9844 0.3632 0.9621
0.5837 0.4953 0.1563
0.0479 0.0195 0.8461
0.8692 0.1883 0.3485
0.9805 0.9521 0.6539
0.9521 0.9805 0.1539
0.3521 0.0930 0.4040
0.1883 0.8692 0.8485
0.7920 0.7640 0.5849
0.0930 0.3521 0.9040
0.6479 0.9070 0.5960
0.8117 0.1308 0.1515
0.2080 0.2360 0.4151
0.0195 0.0479 0.3461
0.7640 0.7920 0.0849
0.9070 0.6479 0.0960
0.2360 0.2080 0.9151
0.1308 0.8117 0.6515
0.3907 0.3263 0.2091
0.3263 0.3907 0.7091
0.6093 0.6737 0.7909
0.6737 0.6093 0.2909
0.9687 0.8176 0.9566
0.8176 0.9687 0.4566
0.0313 0.1824 0.0434
0.1824 0.0313 0.5434
```

Properties
SG: C2/c, No. 15
E (eV/f.u.): -190.7

=====

Record 7
Entry from the Materials Project database: an optimized crystal structure of EuSi2PdAu (PBE-GGA).

```
EuSi2PdAu
1.0
1.3063 -0.2434 5.7486
-4.5077 -0.5896 3.7610
1.8465 -2.6451 -4.9403
Eu Si Pd Au
1 2 1 1
Direct
0.0000 0.0000 0.0000
0.3818 0.3818 0.0000
0.6182 0.6182 0.0000
0.7500 0.2500 0.5000
0.2500 0.7500 0.5000
```

Properties
SG: I-4m2, No. 119
E (eV/f.u.): -33.0

=====

Record 8
Entry from the Materials Project database: an optimized crystal structure of AlP2H4O8F (PBE-GGA).

```
AlP2H4O8F
1.0
4.7062 0.0000 0.0000
0.0000 8.7965 -1.4402
0.0000 1.0810 15.5498
H O P Al F
16 32 8 4 4
Direct
0.7851 0.5177 0.2667
0.6335 0.2091 0.0612
0.3665 0.7909 0.9388
0.1684 0.6022 0.0048
0.2568 0.0907 0.4823
0.2851 0.4823 0.2333
0.7149 0.5177 0.7667
0.2432 0.0907 0.9823
0.1335 0.7909 0.4388
0.7432 0.9093 0.5177
0.2149 0.4823 0.7333
0.3316 0.6022 0.5048
0.8316 0.3978 0.9952
0.6684 0.3978 0.4952
0.8665 0.2091 0.5612
0.7568 0.9093 0.0177
0.5883 0.9762 0.6071
0.5080 0.3003 0.3168
0.0716 0.5331 0.6993
0.3050 0.1210 0.0438
0.6707 0.2500 0.5717
0.5047 0.2210 0.8719
0.7391 0.4501 0.4463
0.8554 0.7967 0.8045
0.1950 0.1210 0.5438
0.0047 0.7790 0.6281
0.3293 0.7500 0.4283
0.3554 0.2033 0.6955
0.9284 0.4669 0.3007
0.2609 0.5499 0.5537
0.2391 0.5499 0.0537
0.4953 0.7790 0.1281
0.9117 0.9762 0.1071
0.6950 0.8790 0.9562
0.6446 0.7967 0.3045
0.1707 0.7500 0.9283
0.0883 0.0238 0.8929
0.0080 0.6997 0.1832
0.9920 0.3003 0.8168
0.4117 0.0238 0.3929
0.1446 0.2033 0.1955
0.4284 0.5331 0.1993
0.4920 0.6997 0.6832
0.9953 0.2210 0.3719
0.8050 0.8790 0.4562
0.8293 0.2500 0.0717
0.7609 0.4501 0.9463
0.5716 0.4669 0.8007
0.4547 0.1345 0.6093
0.0453 0.1345 0.1093
0.5453 0.8655 0.3907
0.2114 0.6507 0.6414
0.7114 0.3493 0.8586
0.7886 0.3493 0.3586
0.2886 0.6507 0.1414
0.9547 0.8655 0.8907
0.7787 0.8692 0.2023
0.7213 0.8692 0.7023
0.2787 0.1308 0.2977
0.2213 0.1308 0.7977
0.4378 0.9591 0.7727
0.9378 0.0409 0.7273
0.0622 0.9591 0.2727
0.5622 0.0409 0.2273
```

Properties
SG: P2_1/c, No. 14
Energy relative to the lowest polymorph listed for this composition (kJ/mol of formula units): 16.9

=====

Number 1: volume 545.2 Å³/f.u.. Number 2: volume 85.8 Å³/f.u.. Number 3: volume 53.9 Å³/f.u.. Number 4: volume 295.2 Å³/f.u.. Number 5: volume 75.6 Å³/f.u.. Number 6: volume 348.9 Å³/f.u.. Number 7: volume 95.3 Å³/f.u.. Number 8: volume 162.8 Å³/f.u..